Entry 1:
# PmCl3 (meta-GGA r2SCAN, relaxed)
# final energy: -14.43 eV/atom
# space group: No. 194
# energy of formation from the pure elements: -2.433 eV per atom
data_PmCl3
_chemical_formula_sum 'Pm2 Cl6'
_symmetry_space_group_name_H-M 'P 1'
_symmetry_Int_Tables_number 1
_symmetry_space_group_name_Hall 'P 1'
_cell_length_a 9.286
_cell_length_b 9.286
_cell_length_c 3.743
_cell_angle_alpha 90.00
_cell_angle_beta 90.00
_cell_angle_gamma 120.00
loop_
_atom_site_label
_atom_site_type_symbol
_atom_site_fract_x
_atom_site_fract_y
_atom_site_fract_z
Pm1 Pm 0.333 0.667 0.250
Pm2 Pm 0.667 0.333 0.750
Cl1 Cl 0.209 0.418 0.750
Cl2 Cl 0.209 0.791 0.750
Cl3 Cl 0.418 0.209 0.250
Cl4 Cl 0.582 0.791 0.750
Cl5 Cl 0.791 0.209 0.250
Cl6 Cl 0.791 0.582 0.250

Entry 2:
# Cs2CoBr4 (meta-GGA r2SCAN, relaxed)
# final energy: -18.15 eV/atom
# space group: No. 62
# energy of formation from the pure elements: -1.509 eV per atom
data_Cs2CoBr4
_chemical_formula_sum 'Cs8 Co4 Br16'
_symmetry_space_group_name_H-M 'P 1'
_symmetry_Int_Tables_number 1
_symmetry_space_group_name_Hall 'P 1'
_cell_length_a 10.262
_cell_length_b 7.743
_cell_length_c 13.570
_cell_angle_alpha 90.00
_cell_angle_beta 90.00
_cell_angle_gamma 90.00
loop_
_atom_site_label
_atom_site_type_symbol
_atom_site_fract_x
_atom_site_fract_y
_atom_site_fract_z
Cs1 Cs 0.018 0.250 0.170
Cs2 Cs 0.133 0.750 0.406
Cs3 Cs 0.367 0.250 0.906
Cs4 Cs 0.482 0.750 0.670
Cs5 Cs 0.518 0.250 0.330
Cs6 Cs 0.633 0.750 0.094
Cs7 Cs 0.867 0.250 0.594
Cs8 Cs 0.982 0.750 0.830
Co1 Co 0.234 0.750 0.079
Co2 Co 0.266 0.250 0.579
Co3 Co 0.734 0.750 0.421
Co4 Co 0.766 0.250 0.921
Br1 Br 0.002 0.750 0.099
Br2 Br 0.178 0.503 0.654
Br3 Br 0.178 0.997 0.654
Br4 Br 0.183 0.250 0.413
Br5 Br 0.317 0.750 0.913
Br6 Br 0.322 0.003 0.154
Br7 Br 0.322 0.497 0.154
Br8 Br 0.498 0.250 0.599
Br9 Br 0.502 0.750 0.401
Br10 Br 0.678 0.503 0.846
Br11 Br 0.678 0.997 0.846
Br12 Br 0.683 0.250 0.087
Br13 Br 0.817 0.750 0.587
Br14 Br 0.822 0.003 0.346
Br15 Br 0.822 0.497 0.346
Br16 Br 0.998 0.250 0.901

Entry 3:
# RbNiF3 (meta-GGA r2SCAN, relaxed)
# final energy: -9.64 eV/atom
# space group: No. 194
# energy of formation from the pure elements: -2.583 eV per atom
data_RbNiF3
_chemical_formula_sum 'Rb6 Ni6 F18'
_symmetry_space_group_name_H-M 'P 1'
_symmetry_Int_Tables_number 1
_symmetry_space_group_name_Hall 'P 1'
_cell_length_a 5.832
_cell_length_b 5.832
_cell_length_c 14.273
_cell_angle_alpha 90.00
_cell_angle_beta 90.00
_cell_angle_gamma 120.00
loop_
_atom_site_label
_atom_site_type_symbol
_atom_site_fract_x
_atom_site_fract_y
_atom_site_fract_z
Rb1 Rb 0.000 0.000 0.250
Rb2 Rb 0.000 0.000 0.750
Rb3 Rb 0.333 0.667 0.093
Rb4 Rb 0.333 0.667 0.407
Rb5 Rb 0.667 0.333 0.593
Rb6 Rb 0.667 0.333 0.907
Ni1 Ni 0.000 0.000 0.000
Ni2 Ni 0.000 0.000 0.500
Ni3 Ni 0.333 0.667 0.656
Ni4 Ni 0.333 0.667 0.844
Ni5 Ni 0.667 0.333 0.156
Ni6 Ni 0.667 0.333 0.344
F1 F 0.035 0.517 0.750
F2 F 0.165 0.331 0.580
F3 F 0.165 0.331 0.920
F4 F 0.165 0.835 0.580
F5 F 0.165 0.835 0.920
F6 F 0.331 0.165 0.080
F7 F 0.331 0.165 0.420
F8 F 0.483 0.517 0.750
F9 F 0.483 0.965 0.750
F10 F 0.517 0.035 0.250
F11 F 0.517 0.483 0.250
F12 F 0.669 0.835 0.580
F13 F 0.669 0.835 0.920
F14 F 0.835 0.165 0.080
F15 F 0.835 0.165 0.420
F16 F 0.835 0.669 0.080
F17 F 0.835 0.669 0.420
F18 F 0.965 0.483 0.250

Entry 4:
# DyCdAu (meta-GGA r2SCAN, relaxed)
# final energy: -34.96 eV/atom
# space group: No. 189
# energy of formation from the pure elements: -0.741 eV per atom
data_DyCdAu
_chemical_formula_sum 'Dy3 Cd3 Au3'
_symmetry_space_group_name_H-M 'P 1'
_symmetry_Int_Tables_number 1
_symmetry_space_group_name_Hall 'P 1'
_cell_length_a 7.667
_cell_length_b 7.667
_cell_length_c 3.973
_cell_angle_alpha 90.00
_cell_angle_beta 90.00
_cell_angle_gamma 120.00
loop_
_atom_site_label
_atom_site_type_symbol
_atom_site_fract_x
_atom_site_fract_y
_atom_site_fract_z
Dy1 Dy 0.000 0.594 0.000
Dy2 Dy 0.406 0.406 0.000
Dy3 Dy 0.594 0.000 0.000
Cd1 Cd 0.000 0.258 0.500
Cd2 Cd 0.258 0.000 0.500
Cd3 Cd 0.742 0.742 0.500
Au1 Au 0.000 0.000 0.000
Au2 Au 0.333 0.667 0.500
Au3 Au 0.667 0.333 0.500

Entry 5:
# U2Ni12P7 (meta-GGA r2SCAN, relaxed)
# final energy: -18.15 eV/atom
# space group: No. 174
# energy of formation from the pure elements: -0.691 eV per atom
data_U2Ni12P7
_chemical_formula_sum 'U2 Ni12 P7'
_symmetry_space_group_name_H-M 'P 1'
_symmetry_Int_Tables_number 1
_symmetry_space_group_name_Hall 'P 1'
_cell_length_a 9.016
_cell_length_b 9.016
_cell_length_c 3.670
_cell_angle_alpha 90.00
_cell_angle_beta 90.00
_cell_angle_gamma 120.00
loop_
_atom_site_label
_atom_site_type_symbol
_atom_site_fract_x
_atom_site_fract_y
_atom_site_fract_z
U1 U 0.000 0.000 0.000
U2 U 0.333 0.667 0.500
Ni1 Ni 0.050 0.764 0.500
Ni2 Ni 0.098 0.392 0.000
Ni3 Ni 0.236 0.286 0.500
Ni4 Ni 0.295 0.902 0.000
Ni5 Ni 0.394 0.213 0.000
Ni6 Ni 0.546 0.120 0.500
Ni7 Ni 0.574 0.454 0.500
Ni8 Ni 0.608 0.705 0.000
Ni9 Ni 0.714 0.950 0.500
Ni10 Ni 0.787 0.181 0.000
Ni11 Ni 0.819 0.606 0.000
Ni12 Ni 0.880 0.426 0.500
P1 P 0.073 0.629 0.000
P2 P 0.264 0.041 0.500
P3 P 0.371 0.445 0.000
P4 P 0.555 0.927 0.000
P5 P 0.667 0.333 0.000
P6 P 0.777 0.736 0.500
P7 P 0.959 0.223 0.500

Entry 6:
# YbSmAg2 (meta-GGA r2SCAN, relaxed)
# final energy: -27.57 eV/atom
# space group: No. 225
# energy of formation from the pure elements: -0.327 eV per atom
data_YbSmAg2
_chemical_formula_sum 'Yb1 Sm1 Ag2'
_symmetry_space_group_name_H-M 'P 1'
_symmetry_Int_Tables_number 1
_symmetry_space_group_name_Hall 'P 1'
_cell_length_a 5.117
_cell_length_b 5.117
_cell_length_c 5.117
_cell_angle_alpha 60.00
_cell_angle_beta 60.00
_cell_angle_gamma 60.00
loop_
_atom_site_label
_atom_site_type_symbol
_atom_site_fract_x
_atom_site_fract_y
_atom_site_fract_z
Yb1 Yb 0.000 0.000 0.000
Sm1 Sm 0.500 0.500 0.500
Ag1 Ag 0.250 0.250 0.250
Ag2 Ag 0.750 0.750 0.750

Entry 7:
# Ag8SnS6 (meta-GGA r2SCAN, relaxed)
# final energy: -16.46 eV/atom
# space group: No. 33
# energy of formation from the pure elements: -0.205 eV per atom
data_Ag8SnS6
_chemical_formula_sum 'Ag32 Sn4 S24'
_symmetry_space_group_name_H-M 'P 1'
_symmetry_Int_Tables_number 1
_symmetry_space_group_name_Hall 'P 1'
_cell_length_a 15.329
_cell_length_b 7.587
_cell_length_c 10.758
_cell_angle_alpha 90.00
_cell_angle_beta 90.00
_cell_angle_gamma 90.00
loop_
_atom_site_label
_atom_site_type_symbol
_atom_site_fract_x
_atom_site_fract_y
_atom_site_fract_z
Ag1 Ag 0.019 0.022 0.000
Ag2 Ag 0.059 0.235 0.221
Ag3 Ag 0.066 0.571 0.903
Ag4 Ag 0.092 0.601 0.587
Ag5 Ag 0.131 0.270 0.763
Ag6 Ag 0.225 0.013 0.982
Ag7 Ag 0.227 0.874 0.579
Ag8 Ag 0.241 0.647 0.804
Ag9 Ag 0.259 0.147 0.304
Ag10 Ag 0.273 0.374 0.079
Ag11 Ag 0.275 0.513 0.482
Ag12 Ag 0.369 0.770 0.263
Ag13 Ag 0.408 0.101 0.087
Ag14 Ag 0.434 0.071 0.403
Ag15 Ag 0.441 0.735 0.721
Ag16 Ag 0.481 0.522 0.500
Ag17 Ag 0.519 0.478 0.000
Ag18 Ag 0.559 0.265 0.221
Ag19 Ag 0.566 0.929 0.903
Ag20 Ag 0.592 0.899 0.587
Ag21 Ag 0.631 0.230 0.763
Ag22 Ag 0.725 0.487 0.982
Ag23 Ag 0.727 0.626 0.579
Ag24 Ag 0.741 0.853 0.804
Ag25 Ag 0.759 0.353 0.304
Ag26 Ag 0.773 0.126 0.079
Ag27 Ag 0.775 0.987 0.482
Ag28 Ag 0.869 0.730 0.263
Ag29 Ag 0.908 0.399 0.087
Ag30 Ag 0.934 0.429 0.403
Ag31 Ag 0.941 0.765 0.721
Ag32 Ag 0.981 0.978 0.500
Sn1 Sn 0.124 0.734 0.237
Sn2 Sn 0.376 0.234 0.737
Sn3 Sn 0.624 0.766 0.237
Sn4 Sn 0.876 0.266 0.737
S1 S 0.002 0.269 0.607
S2 S 0.112 0.821 0.754
S3 S 0.121 0.483 0.372
S4 S 0.123 0.275 0.995
S5 S 0.128 0.989 0.369
S6 S 0.250 0.228 0.606
S7 S 0.250 0.728 0.106
S8 S 0.372 0.489 0.869
S9 S 0.377 0.775 0.495
S10 S 0.379 0.983 0.872
S11 S 0.388 0.321 0.254
S12 S 0.498 0.769 0.107
S13 S 0.502 0.231 0.607
S14 S 0.612 0.679 0.754
S15 S 0.621 0.017 0.372
S16 S 0.623 0.225 0.995
S17 S 0.628 0.511 0.369
S18 S 0.750 0.272 0.606
S19 S 0.750 0.772 0.106
S20 S 0.872 0.011 0.869
S21 S 0.877 0.725 0.495
S22 S 0.879 0.517 0.872
S23 S 0.888 0.179 0.254
S24 S 0.998 0.731 0.107

Entry 8:
# Mn3Ni2Te3O16 (meta-GGA r2SCAN, relaxed)
# final energy: -11.30 eV/atom
# space group: No. 8
# energy of formation from the pure elements: -1.312 eV per atom
data_Mn3Ni2Te3O16
_chemical_formula_sum 'Mn3 Ni2 Te3 O16'
_symmetry_space_group_name_H-M 'P 1'
_symmetry_Int_Tables_number 1
_symmetry_space_group_name_Hall 'P 1'
_cell_length_a 6.021
_cell_length_b 6.021
_cell_length_c 8.919
_cell_angle_alpha 90.36
_cell_angle_beta 90.36
_cell_angle_gamma 59.30
loop_
_atom_site_label
_atom_site_type_symbol
_atom_site_fract_x
_atom_site_fract_y
_atom_site_fract_z
Mn1 Mn 0.000 0.000 0.000
Mn2 Mn 0.168 0.666 0.504
Mn3 Mn 0.666 0.168 0.504
Ni1 Ni 0.156 0.156 0.708
Ni2 Ni 0.489 0.489 0.234
Te1 Te 0.001 0.498 0.003
Te2 Te 0.498 0.001 0.003
Te3 Te 0.665 0.665 0.503
O1 O 0.150 0.671 0.105
O2 O 0.187 0.187 0.131
O3 O 0.313 0.313 0.876
O4 O 0.315 0.876 0.889
O5 O 0.354 0.790 0.380
O6 O 0.357 0.357 0.393
O7 O 0.507 0.507 0.620
O8 O 0.508 0.988 0.612
O9 O 0.671 0.150 0.105
O10 O 0.672 0.672 0.117
O11 O 0.790 0.354 0.380
O12 O 0.814 0.814 0.882
O13 O 0.827 0.827 0.394
O14 O 0.876 0.315 0.889
O15 O 0.988 0.508 0.612
O16 O 0.989 0.989 0.607